The following is a DFT calculation (GGA-PBE) of a relaxed structure of Sr2LiLaTaO6.

Cell lengths 5.8363, 5.8363, 6.8241 Å; angles 115.30, 115.30, 60.03 degrees
Sites, in units of the cell vectors:
Sr1 0.0000 0.0000 0.0000
Sr2 0.5895 0.5895 0.7702
Li1 0.4164 0.4164 0.2518
La1 0.7881 0.7881 0.3668
Ta1 0.2776 0.2776 0.8348
O1 0.0379 0.5140 0.0702
O2 0.0570 0.0570 0.6714
O3 0.0572 0.5564 0.6726
O4 0.5140 0.0379 0.0702
O5 0.5148 0.5148 0.0704
O6 0.5564 0.0572 0.6726

Output
formation energy from the elements	-3.084	eV/atom
DFT total energy	-7.42	eV per atom